No. 1
DFT (GGA-PBE) results for an optimized crystal structure of CuW3Br7.

Structure (POSCAR):
```
CuW3Br7
1.0
-2.0341 5.5245 12.4533
-12.0946 -6.5282 0.9205
6.2711 -10.7984 5.8147
W Br Cu
24 56 8
Direct
0.3808 0.7202 0.7739 W
0.7739 0.6192 0.2798 W
0.6192 0.2798 0.7739 W
0.8808 0.7798 0.2739 W
0.7202 0.7739 0.3808 W
0.2798 0.2261 0.3808 W
0.7261 0.1192 0.7798 W
0.2261 0.6192 0.7202 W
0.1192 0.2202 0.2739 W
0.2739 0.8808 0.7798 W
0.7202 0.2261 0.6192 W
0.2739 0.1192 0.2202 W
0.1192 0.7798 0.7261 W
0.7261 0.8808 0.2202 W
0.2202 0.2739 0.1192 W
0.3808 0.2798 0.2261 W
0.8808 0.2202 0.7261 W
0.7798 0.2739 0.8808 W
0.7798 0.7261 0.1192 W
0.7739 0.3808 0.7202 W
0.6192 0.7202 0.2261 W
0.2261 0.3808 0.2798 W
0.2202 0.7261 0.8808 W
0.2798 0.7739 0.6192 W
0.8105 0.4354 0.3265 Br
0.3866 0.3866 0.3866 Br
0.1134 0.8866 0.8866 Br
0.8259 0.0661 0.6247 Br
0.9339 0.3753 0.8259 Br
0.5646 0.6735 0.8105 Br
0.6895 0.9354 0.8265 Br
0.1735 0.3105 0.9354 Br
0.8753 0.3259 0.5661 Br
0.0661 0.3753 0.1741 Br
0.3866 0.6134 0.6134 Br
0.5661 0.8753 0.3259 Br
0.6735 0.8105 0.5646 Br
0.5661 0.1247 0.6741 Br
0.3265 0.8105 0.4354 Br
0.3105 0.0646 0.8265 Br
0.1895 0.4354 0.6735 Br
0.0646 0.1735 0.6895 Br
0.1247 0.6741 0.5661 Br
0.0646 0.8265 0.3105 Br
0.6741 0.4339 0.8753 Br
0.6741 0.5661 0.1247 Br
0.3265 0.1895 0.5646 Br
0.4339 0.1247 0.3259 Br
0.4354 0.3265 0.8105 Br
0.4354 0.6735 0.1895 Br
0.6895 0.0646 0.1735 Br
0.9354 0.8265 0.6895 Br
0.1247 0.3259 0.4339 Br
0.3259 0.5661 0.8753 Br
0.6247 0.8259 0.0661 Br
0.4339 0.8753 0.6741 Br
0.1741 0.0661 0.3753 Br
0.5646 0.3265 0.1895 Br
0.3753 0.8259 0.9339 Br
0.8259 0.9339 0.3753 Br
0.9354 0.1735 0.3105 Br
0.8753 0.6741 0.4339 Br
0.8265 0.6895 0.9354 Br
0.1741 0.9339 0.6247 Br
0.3259 0.4339 0.1247 Br
0.8265 0.3105 0.0646 Br
0.9339 0.6247 0.1741 Br
0.1134 0.1134 0.1134 Br
0.6735 0.1895 0.4354 Br
0.6247 0.1741 0.9339 Br
0.1895 0.5646 0.3265 Br
0.8105 0.5646 0.6735 Br
0.1735 0.6895 0.0646 Br
0.3105 0.9354 0.1735 Br
0.0661 0.6247 0.8259 Br
0.8866 0.8866 0.1134 Br
0.6134 0.3866 0.6134 Br
0.8866 0.1134 0.8866 Br
0.6134 0.6134 0.3866 Br
0.3753 0.1741 0.0661 Br
0.1880 0.8120 0.1880 Cu
0.6880 0.6880 0.6880 Cu
0.3120 0.6880 0.3120 Cu
0.3120 0.3120 0.6880 Cu
0.1880 0.1880 0.8120 Cu
0.6880 0.3120 0.3120 Cu
0.8120 0.1880 0.1880 Cu
0.8120 0.8120 0.8120 Cu
```

Polymorph energy (0 for the lowest one) in meV per atom: 0
Total energy after the MP2020 corrections in eV/atom: -5.7479

No. 2
DFT (GGA-PBE) results for an optimized crystal structure of BaSrBiSbO6.

Structure (POSCAR):
```
BaSrBiSbO6
1.0
-4.0496 -4.0126 1.9466
1.0228 -5.8645 -0.9227
1.3837 -3.4989 4.7045
O Sr Bi Ba Sb
6 1 1 1 1
Direct
0.7189 0.3271 0.2071 O
0.3271 0.2071 0.7189 O
0.6472 0.8115 0.2769 O
0.8115 0.2769 0.6472 O
0.2769 0.6472 0.8115 O
0.2071 0.7189 0.3271 O
0.2602 0.2602 0.2602 Sr
0.0007 0.0007 0.0007 Bi
0.7498 0.7498 0.7498 Ba
0.5005 0.5005 0.5005 Sb
```

Polymorph energy (0 for the lowest one) in meV per atom: 2
Total energy after the MP2020 corrections in eV/atom: -6.5841

No. 3
DFT (GGA-PBE) results for an optimized crystal structure of Cu3Pt.

Structure (POSCAR):
```
Cu3Pt
1.0
3.7229 0.0000 0.0000
0.0000 3.7229 0.0000
0.0000 0.0000 3.7229
Pt Cu
1 3
Direct
0.0000 0.0000 0.0000 Pt
0.5000 0.0000 0.5000 Cu
0.5000 0.5000 0.0000 Cu
0.0000 0.5000 0.5000 Cu
```

DFT total energy in eV/atom: -4.731

No. 4
DFT (GGA-PBE) results for an optimized crystal structure of BaMg14Sn.

Structure (POSCAR):
```
BaMg14Sn
1.0
6.5800 0.0000 0.0000
-3.2900 5.6984 0.0000
0.0000 0.0000 10.7608
Mg Sn Ba
14 1 1
Direct
0.6690 0.8310 0.1250 Mg
0.8226 0.1613 0.8869 Mg
0.6607 0.8393 0.6250 Mg
0.6690 0.3380 0.1250 Mg
0.3387 0.6774 0.8869 Mg
0.3387 0.1613 0.3631 Mg
0.8333 0.6667 0.3824 Mg
0.1787 0.8393 0.6250 Mg
0.1620 0.8310 0.1250 Mg
0.8226 0.1613 0.3631 Mg
0.3387 0.6774 0.3631 Mg
0.8333 0.6667 0.8676 Mg
0.3387 0.1613 0.8869 Mg
0.6607 0.3213 0.6250 Mg
0.1667 0.3333 0.1250 Sn
0.1667 0.3333 0.6250 Ba
```

Polymorph energy (0 for the lowest one) in meV per atom: 36

No. 5
DFT (GGA-PBE) results for an optimized crystal structure of LaCu2O4.

Structure (POSCAR):
```
LaCu2O4
1.0
-2.9614 2.9614 4.9086
2.9614 -2.9614 4.9086
2.9614 2.9614 -4.9086
O Cu La
8 4 2
Direct
0.7280 0.3055 0.1326 O
0.6945 0.8271 0.4226 O
0.4046 0.2720 0.5774 O
0.1729 0.5954 0.8674 O
0.0220 0.9445 0.3674 O
0.0555 0.4229 0.0774 O
0.5771 0.6546 0.6326 O
0.3454 0.9780 0.9226 O
0.8750 0.6250 0.2500 Cu
0.3750 0.6250 0.2500 Cu
0.3750 0.6250 0.7500 Cu
0.3750 0.1250 0.7500 Cu
0.0000 0.0000 0.0000 La
0.7500 0.2500 0.5000 La
```

Total energy after the MP2020 corrections in eV/atom: -6.7482

No. 6
DFT (GGA-PBE) results for an optimized crystal structure of CaBr2.

Structure (POSCAR):
```
CaBr2
1.0
-4.0960 -0.2642 -1.5391
-2.2641 -1.0890 6.2123
-0.7909 6.8973 0.9209
Ca Br
2 4
Direct
0.5000 0.5000 0.5000 Ca
0.0000 0.0000 0.0000 Ca
0.0000 0.7236 0.6732 Br
0.5000 0.2236 0.8268 Br
0.5000 0.7764 0.1732 Br
0.0000 0.2764 0.3268 Br
```

Total energy after the MP2020 corrections in eV/atom: -4.1622

- Number 2 is which compound?
  BaSrBiSbO6

Copy entry 3 word for word.
DFT (GGA-PBE) results for an optimized crystal structure of Cu3Pt.

Structure (POSCAR):
```
Cu3Pt
1.0
3.7229 0.0000 0.0000
0.0000 3.7229 0.0000
0.0000 0.0000 3.7229
Pt Cu
1 3
Direct
0.0000 0.0000 0.0000 Pt
0.5000 0.0000 0.5000 Cu
0.5000 0.5000 0.0000 Cu
0.0000 0.5000 0.5000 Cu
```

DFT total energy in eV/atom: -4.731